KMg6CrO8: optimized geometry, PBE with a Hubbard U. Values from VASP.

```
&SYSTEM
  ibrav = 0, nat = 16, ntyp = 4
/
ATOMIC_SPECIES
Mg 24.30 Mg.upf
O 16.00 O.upf
K 39.10 K.upf
Cr 52.00 Cr.upf
ATOMIC_POSITIONS angstrom
Mg -1.373 -1.688 2.169
Mg 1.049 -2.879 0.700
Mg -5.569 -3.061 2.809
Mg -1.570 -2.497 -0.861
Mg -3.045 -4.218 1.324
Mg -5.767 -3.870 -0.221
O 0.623 -1.035 1.865
O -3.668 -3.183 -0.541
O -5.911 -1.934 0.901
O -5.060 -4.878 1.631
O -3.471 -2.375 2.489
O -2.277 -0.745 0.347
O -1.031 -3.559 1.017
O 0.426 -1.844 -1.165
K 0.000 0.000 0.000
Cr -4.094 -1.340 0.624
CELL_PARAMETERS angstrom
-8.188 -2.679 1.248
0.851 -3.687 -2.331
1.246 -2.070 3.730
```

Computed properties:
**Total energy after the MP2020 corrections**: -6.279 eV per atom
**Size of the total moment**: 0.204 μB/atom
**Energy of formation**: -2.532 eV per atom
**Calculated total energy**: -5.810 eV per atom